No. 1
VASP calculation (r²SCAN) on a relaxed La4Cu3Sb8 crystal.

Cell: 10.995 10.995 10.993 Å, 146.79 146.79 47.68°
Element x y z (fractional)
La 0.370 0.871 0.000
La 0.630 0.630 0.501
Sb 0.816 0.816 0.495
Cu 0.000 0.500 0.500
La 0.871 0.370 0.000
Sb 0.250 0.750 0.500
Sb 0.679 0.185 0.000
Sb 0.750 0.250 0.500
Sb 0.185 0.679 0.000
Sb 0.321 0.321 0.506
Cu 0.000 0.000 0.000
Sb 0.750 0.750 0.000
Sb 0.250 0.250 0.000
La 0.129 0.129 0.499
Cu 0.500 0.000 0.500

For the total magnetization, the calculation gives 0.00 μB/f.u. As for the total energy: -24.685 eV/atom. As for the space group: I-42m.

No. 2
VASP calculation (r²SCAN) on a relaxed PmMgAg2 crystal.

Cell: 4.999 4.999 4.999 Å, 60.00 60.00 60.00°
Element x y z (fractional)
Ag 0.000 0.000 0.000
Mg 0.250 0.250 0.250
Pm 0.750 0.750 0.750
Ag 0.500 0.500 0.500

For the total magnetization, the calculation gives 0.00 μB/f.u. As for the total energy: -19.390 eV/atom. As for the space group: Fm-3m.

No. 3
VASP calculation (r²SCAN) on a relaxed Sn2Rh crystal.

Cell: 5.377 5.377 5.377 Å, 106.44 106.44 115.71°
Element x y z (fractional)
Sn 0.838 0.662 0.500
Sn 0.662 0.162 0.825
Sn 0.338 0.838 0.175
Rh 0.750 0.750 0.000
Sn 0.162 0.338 0.500
Rh 0.250 0.250 0.000

For the total magnetization, the calculation gives 0.00 μB/f.u. As for the total energy: -24.900 eV/atom. As for the space group: I4/mcm.